1.
# CeB4ClO8

CeB4ClO8 after structural relaxation (PBE, Materials Project).

The value obtained for the MP2020-corrected energy is -224.672 eV per cell.

Lattice parameters (Å, degrees): 6.5697 6.5697 9.2721 97.85 97.85 119.82
Sites, in units of the cell vectors:
Ce (0.2004, 0.7996, 0.5000)
Ce (0.7996, 0.2004, 0.0000)
B (0.0556, 0.2394, 0.3411)
B (0.1397, 0.6260, 0.8208)
B (0.2394, 0.0556, 0.8411)
B (0.4304, 0.4983, 0.9150)
B (0.4983, 0.4304, 0.4150)
B (0.6260, 0.1397, 0.3208)
B (0.7518, 0.8601, 0.3947)
B (0.8601, 0.7518, 0.8947)
Cl (0.0319, 0.6708, 0.1800)
Cl (0.6708, 0.0319, 0.6800)
O (0.0206, 0.9888, 0.8985)
O (0.0242, 0.1913, 0.1800)
O (0.1257, 0.5790, 0.6621)
O (0.1913, 0.0242, 0.6800)
O (0.2127, 0.4852, 0.8996)
O (0.2979, 0.4431, 0.4184)
O (0.3243, 0.8899, 0.8749)
O (0.4431, 0.2979, 0.9184)
O (0.4852, 0.2127, 0.3996)
O (0.5712, 0.9036, 0.3540)
O (0.5790, 0.1257, 0.1621)
O (0.6451, 0.7171, 0.9289)
O (0.7171, 0.6451, 0.4289)
O (0.8899, 0.3243, 0.3749)
O (0.9036, 0.5712, 0.8540)
O (0.9888, 0.0206, 0.3985)

=====

2.
# Ce2Co7B3

Ce2Co7B3 after structural relaxation (PBE, Materials Project).

Lattice parameters (Å, degrees): 5.0219 5.0219 12.8909 90.00 90.00 120.00
Sites, in units of the cell vectors:
Ce (0.0000, 0.0000, 0.0000)
Ce (0.0000, 0.0000, 0.2425)
Ce (0.0000, 0.0000, 0.5000)
Ce (0.0000, 0.0000, 0.7575)
Co (0.0000, 0.5000, 0.1161)
Co (0.0000, 0.5000, 0.3434)
Co (0.0000, 0.5000, 0.6566)
Co (0.0000, 0.5000, 0.8839)
Co (0.3333, 0.6667, 0.5000)
Co (0.5000, 0.0000, 0.1161)
Co (0.5000, 0.0000, 0.3434)
Co (0.5000, 0.0000, 0.6566)
Co (0.5000, 0.0000, 0.8839)
Co (0.5000, 0.5000, 0.1161)
Co (0.5000, 0.5000, 0.3434)
Co (0.5000, 0.5000, 0.6566)
Co (0.5000, 0.5000, 0.8839)
Co (0.6667, 0.3333, 0.5000)
B (0.3333, 0.6667, 0.0000)
B (0.3333, 0.6667, 0.2315)
B (0.3333, 0.6667, 0.7685)
B (0.6667, 0.3333, 0.0000)
B (0.6667, 0.3333, 0.2315)
B (0.6667, 0.3333, 0.7685)

=====

3.
# CeCo12B6

CeCo12B6 after structural relaxation (PBE, Materials Project).

Lattice parameters (Å, degrees): 5.9804 5.9804 5.9804 104.12 104.12 104.12
Sites, in units of the cell vectors:
Ce (0.0000, 0.0000, 0.0000)
Co (0.1341, 0.5000, 0.8659)
Co (0.1341, 0.8659, 0.5000)
Co (0.1863, 0.4559, 0.4559)
Co (0.4559, 0.1863, 0.4559)
Co (0.4559, 0.4559, 0.1863)
Co (0.5000, 0.1341, 0.8659)
Co (0.5000, 0.8659, 0.1341)
Co (0.5441, 0.5441, 0.8137)
Co (0.5441, 0.8137, 0.5441)
Co (0.8137, 0.5441, 0.5441)
Co (0.8659, 0.1341, 0.5000)
Co (0.8659, 0.5000, 0.1341)
B (0.2304, 0.2304, 0.6696)
B (0.2304, 0.6696, 0.2304)
B (0.3304, 0.7696, 0.7696)
B (0.6696, 0.2304, 0.2304)
B (0.7696, 0.3304, 0.7696)
B (0.7696, 0.7696, 0.3304)

=====

4.
# Ce3Co29Si4B10

Ce3Co29Si4B10 after structural relaxation (PBE, Materials Project).

Lattice parameters (Å, degrees): 11.1236 11.1236 7.8100 90.00 90.00 90.00
Sites, in units of the cell vectors:
Ce (0.0000, 0.0000, 0.0000)
Ce (0.0000, 0.5000, 0.0000)
Ce (0.2500, 0.7500, 0.5000)
Ce (0.5000, 0.0000, 0.0000)
Ce (0.5000, 0.5000, 0.0000)
Ce (0.7500, 0.2500, 0.5000)
Co (0.0234, 0.2500, 0.4752)
Co (0.0756, 0.5882, 0.3364)
Co (0.0756, 0.9118, 0.3364)
Co (0.0859, 0.2500, 0.9735)
Co (0.0882, 0.5756, 0.6636)
Co (0.0882, 0.9244, 0.6636)
Co (0.1346, 0.1346, 0.2507)
Co (0.1346, 0.3654, 0.2507)
Co (0.1402, 0.1402, 0.6993)
Co (0.1402, 0.3598, 0.6993)
Co (0.1403, 0.7500, 0.1108)
Co (0.2500, 0.0234, 0.4752)
Co (0.2500, 0.0859, 0.9735)
Co (0.2500, 0.2500, 0.4690)
Co (0.2500, 0.4141, 0.9735)
Co (0.2500, 0.4766, 0.4752)
Co (0.2500, 0.6403, 0.8892)
Co (0.2500, 0.8597, 0.8892)
Co (0.3598, 0.1402, 0.6993)
Co (0.3598, 0.3598, 0.6993)
Co (0.3597, 0.7500, 0.1108)
Co (0.3654, 0.1346, 0.2507)
Co (0.3654, 0.3654, 0.2507)
Co (0.4118, 0.5756, 0.6636)
Co (0.4118, 0.9244, 0.6636)
Co (0.4141, 0.2500, 0.9735)
Co (0.4244, 0.5882, 0.3364)
Co (0.4244, 0.9118, 0.3364)
Co (0.4766, 0.2500, 0.4752)
Co (0.5234, 0.7500, 0.5248)
Co (0.5756, 0.0882, 0.6636)
Co (0.5756, 0.4118, 0.6636)
Co (0.5859, 0.7500, 0.0265)
Co (0.5882, 0.0756, 0.3364)
Co (0.5882, 0.4244, 0.3364)
Co (0.6346, 0.6346, 0.7493)
Co (0.6346, 0.8654, 0.7493)
Co (0.6403, 0.2500, 0.8892)
Co (0.6402, 0.6402, 0.3007)
Co (0.6402, 0.8598, 0.3007)
Co (0.7500, 0.1403, 0.1108)
Co (0.7500, 0.3597, 0.1108)
Co (0.7500, 0.5234, 0.5248)
Co (0.7500, 0.5859, 0.0265)
Co (0.7500, 0.7500, 0.5310)
Co (0.7500, 0.9141, 0.0265)
Co (0.7500, 0.9766, 0.5248)
Co (0.8597, 0.2500, 0.8892)
Co (0.8598, 0.6402, 0.3007)
Co (0.8598, 0.8598, 0.3007)
Co (0.8654, 0.6346, 0.7493)
Co (0.8654, 0.8654, 0.7493)
Co (0.9118, 0.0756, 0.3364)
Co (0.9118, 0.4244, 0.3364)
Co (0.9141, 0.7500, 0.0265)
Co (0.9244, 0.0882, 0.6636)
Co (0.9244, 0.4118, 0.6636)
Co (0.9766, 0.7500, 0.5248)
Si (0.0691, 0.7500, 0.8244)
Si (0.2500, 0.5691, 0.1756)
Si (0.2500, 0.9309, 0.1756)
Si (0.4309, 0.7500, 0.8244)
Si (0.5691, 0.2500, 0.1756)
Si (0.7500, 0.0691, 0.8244)
Si (0.7500, 0.4309, 0.8244)
Si (0.9309, 0.2500, 0.1756)
B (0.0061, 0.7500, 0.2607)
B (0.0639, 0.0639, 0.4828)
B (0.0639, 0.4361, 0.4828)
B (0.2500, 0.2500, 0.1099)
B (0.2500, 0.2500, 0.8523)
B (0.2500, 0.5061, 0.7393)
B (0.2500, 0.9939, 0.7393)
B (0.4361, 0.0639, 0.4828)
B (0.4361, 0.4361, 0.4828)
B (0.4939, 0.7500, 0.2607)
B (0.5061, 0.2500, 0.7393)
B (0.5639, 0.5639, 0.5172)
B (0.5639, 0.9361, 0.5172)
B (0.7500, 0.0061, 0.2607)
B (0.7500, 0.4939, 0.2607)
B (0.7500, 0.7500, 0.1477)
B (0.7500, 0.7500, 0.8901)
B (0.9361, 0.5639, 0.5172)
B (0.9361, 0.9361, 0.5172)
B (0.9939, 0.2500, 0.7393)

=====

5.
# CeCr2B6

CeCr2B6 after structural relaxation (PBE, Materials Project).

Lattice parameters (Å, degrees): 5.5104 5.5104 5.5104 147.62 107.24 81.90
Sites, in units of the cell vectors:
Ce (0.0000, 0.0000, 0.0000)
Cr (0.3456, 0.8456, 0.5000)
Cr (0.6544, 0.1544, 0.5000)
B (0.0663, 0.3036, 0.7627)
B (0.3576, 0.5000, 0.8576)
B (0.4590, 0.6964, 0.7627)
B (0.5410, 0.3036, 0.2373)
B (0.6424, 0.5000, 0.1424)
B (0.9337, 0.6964, 0.2373)

=====

6.
# CeEuB12

CeEuB12 after structural relaxation (PBE, Materials Project).

Lattice parameters (Å, degrees): 5.8655 5.8655 4.1468 90.00 90.00 90.00
Sites, in units of the cell vectors:
Ce (0.0000, 0.0000, 0.0000)
Eu (0.5000, 0.5000, 0.0000)
B (0.0000, 0.5000, 0.2000)
B (0.0000, 0.5000, 0.8000)
B (0.1499, 0.3498, 0.5000)
B (0.1499, 0.6502, 0.5000)
B (0.3498, 0.1499, 0.5000)
B (0.3498, 0.8501, 0.5000)
B (0.5000, 0.0000, 0.2000)
B (0.5000, 0.0000, 0.8000)
B (0.6502, 0.1499, 0.5000)
B (0.6502, 0.8501, 0.5000)
B (0.8501, 0.3498, 0.5000)
B (0.8501, 0.6502, 0.5000)

=====

7.
# Ce4Fe3B6

Ce4Fe3B6 after structural relaxation (PBE, Materials Project).

Lattice parameters (Å, degrees): 7.8210 7.8210 7.8210 39.33 39.33 39.33
Sites, in units of the cell vectors:
Ce (0.0964, 0.0964, 0.0964)
Ce (0.2371, 0.2371, 0.2371)
Ce (0.7629, 0.7629, 0.7629)
Ce (0.9036, 0.9036, 0.9036)
Fe (0.3860, 0.3860, 0.3860)
Fe (0.5000, 0.5000, 0.5000)
Fe (0.6140, 0.6140, 0.6140)
B (0.0000, 0.3310, 0.6690)
B (0.0000, 0.6690, 0.3310)
B (0.3310, 0.0000, 0.6690)
B (0.3310, 0.6690, 0.0000)
B (0.6690, 0.0000, 0.3310)
B (0.6690, 0.3310, 0.0000)

=====

8.
# CeFe4B4

CeFe4B4 after structural relaxation (PBE, Materials Project).

Lattice parameters (Å, degrees): 7.0078 7.0078 3.8168 90.00 90.00 90.00
Sites, in units of the cell vectors:
Ce (0.2500, 0.2500, 0.2500)
Ce (0.7500, 0.7500, 0.7500)
Fe (0.1187, 0.6352, 0.1456)
Fe (0.1352, 0.8813, 0.6456)
Fe (0.3648, 0.6187, 0.6456)
Fe (0.3813, 0.8648, 0.1456)
Fe (0.6187, 0.1352, 0.8544)
Fe (0.6352, 0.3813, 0.3544)
Fe (0.8648, 0.1187, 0.3544)
Fe (0.8813, 0.3648, 0.8544)
B (0.0468, 0.9148, 0.1456)
B (0.0852, 0.5468, 0.6456)
B (0.4148, 0.9532, 0.6456)
B (0.4532, 0.5852, 0.1456)
B (0.5468, 0.4148, 0.8544)
B (0.5852, 0.0468, 0.3544)
B (0.9148, 0.4532, 0.3544)
B (0.9532, 0.0852, 0.8544)

=====

9.
# Ce2Fe14B

Ce2Fe14B after structural relaxation (PBE, Materials Project).

Lattice parameters (Å, degrees): 8.7509 8.7509 11.9478 90.00 90.00 90.00
Sites, in units of the cell vectors:
Ce (0.1435, 0.1435, 0.0000)
Ce (0.2315, 0.2315, 0.5000)
Ce (0.2685, 0.7315, 0.0000)
Ce (0.3565, 0.6435, 0.5000)
Ce (0.6435, 0.3565, 0.5000)
Ce (0.7315, 0.2685, 0.0000)
Ce (0.7685, 0.7685, 0.5000)
Ce (0.8565, 0.8565, 0.0000)
Fe (0.0000, 0.0000, 0.3839)
Fe (0.0000, 0.0000, 0.6161)
Fe (0.0000, 0.5000, 0.0000)
Fe (0.0000, 0.5000, 0.5000)
Fe (0.0382, 0.6408, 0.1754)
Fe (0.0382, 0.6408, 0.8246)
Fe (0.0661, 0.7236, 0.3739)
Fe (0.0661, 0.7236, 0.6261)
Fe (0.0979, 0.9021, 0.2021)
Fe (0.0979, 0.9021, 0.7979)
Fe (0.1408, 0.4618, 0.3246)
Fe (0.1408, 0.4618, 0.6754)
Fe (0.1824, 0.1824, 0.2539)
Fe (0.1824, 0.1824, 0.7461)
Fe (0.2236, 0.4339, 0.1261)
Fe (0.2236, 0.4339, 0.8739)
Fe (0.2764, 0.9339, 0.3739)
Fe (0.2764, 0.9339, 0.6261)
Fe (0.3176, 0.6824, 0.2461)
Fe (0.3176, 0.6824, 0.7539)
Fe (0.3592, 0.9618, 0.1754)
Fe (0.3592, 0.9618, 0.8246)
Fe (0.4021, 0.4021, 0.2979)
Fe (0.4021, 0.4021, 0.7021)
Fe (0.4339, 0.2236, 0.1261)
Fe (0.4339, 0.2236, 0.8739)
Fe (0.4618, 0.1408, 0.3246)
Fe (0.4618, 0.1408, 0.6754)
Fe (0.5000, 0.0000, 0.0000)
Fe (0.5000, 0.0000, 0.5000)
Fe (0.5000, 0.5000, 0.1161)
Fe (0.5000, 0.5000, 0.8839)
Fe (0.5382, 0.8592, 0.3246)
Fe (0.5382, 0.8592, 0.6754)
Fe (0.5661, 0.7764, 0.1261)
Fe (0.5661, 0.7764, 0.8739)
Fe (0.5979, 0.5979, 0.2979)
Fe (0.5979, 0.5979, 0.7021)
Fe (0.6408, 0.0382, 0.1754)
Fe (0.6408, 0.0382, 0.8246)
Fe (0.6824, 0.3176, 0.2461)
Fe (0.6824, 0.3176, 0.7539)
Fe (0.7236, 0.0661, 0.3739)
Fe (0.7236, 0.0661, 0.6261)
Fe (0.7764, 0.5661, 0.1261)
Fe (0.7764, 0.5661, 0.8739)
Fe (0.8176, 0.8176, 0.2539)
Fe (0.8176, 0.8176, 0.7461)
Fe (0.8592, 0.5382, 0.3246)
Fe (0.8592, 0.5382, 0.6754)
Fe (0.9021, 0.0979, 0.2021)
Fe (0.9021, 0.0979, 0.7979)
Fe (0.9339, 0.2764, 0.3739)
Fe (0.9339, 0.2764, 0.6261)
Fe (0.9618, 0.3592, 0.1754)
Fe (0.9618, 0.3592, 0.8246)
B (0.1224, 0.8776, 0.5000)
B (0.3776, 0.3776, 0.0000)
B (0.6224, 0.6224, 0.0000)
B (0.8776, 0.1224, 0.5000)

=====

10.
# Ce6Ge9B2O30

Ce6Ge9B2O30 after structural relaxation (PBE, Materials Project).

The value obtained for the MP2020-corrected energy is -735.068 eV per cell.

Lattice parameters (Å, degrees): 8.8703 10.9175 13.3107 90.00 125.65 90.00
Sites, in units of the cell vectors:
Ce (0.0137, 0.1683, 0.0573)
Ce (0.0137, 0.3317, 0.5573)
Ce (0.2630, 0.6782, 0.2683)
Ce (0.2630, 0.8218, 0.7683)
Ce (0.2919, 0.1676, 0.4450)
Ce (0.2919, 0.3324, 0.9450)
Ce (0.7081, 0.6676, 0.0550)
Ce (0.7081, 0.8324, 0.5550)
Ce (0.7370, 0.1782, 0.2317)
Ce (0.7370, 0.3218, 0.7317)
Ce (0.9863, 0.6683, 0.4427)
Ce (0.9863, 0.8317, 0.9427)
Ge (0.0000, 0.0000, 0.5000)
Ge (0.0000, 0.5000, 0.0000)
Ge (0.0014, 0.0829, 0.7508)
Ge (0.0014, 0.4171, 0.2508)
Ge (0.3732, 0.1731, 0.7373)
Ge (0.3732, 0.3269, 0.2373)
Ge (0.3768, 0.5384, 0.5311)
Ge (0.3768, 0.9616, 0.0311)
Ge (0.3858, 0.0145, 0.2610)
Ge (0.3858, 0.4855, 0.7610)
Ge (0.6142, 0.5145, 0.2390)
Ge (0.6142, 0.9855, 0.7390)
Ge (0.6232, 0.0384, 0.9689)
Ge (0.6232, 0.4616, 0.4689)
Ge (0.6268, 0.6731, 0.7627)
Ge (0.6268, 0.8269, 0.2627)
Ge (0.9986, 0.5829, 0.7492)
Ge (0.9986, 0.9171, 0.2492)
B (0.3061, 0.6635, 0.0254)
B (0.3061, 0.8365, 0.5254)
B (0.6939, 0.1635, 0.4746)
B (0.6939, 0.3365, 0.9746)
O (0.0000, 0.0291, 0.3605)
O (0.0000, 0.4709, 0.8605)
O (0.0000, 0.5291, 0.1395)
O (0.0000, 0.9709, 0.6395)
O (0.0077, 0.1888, 0.8637)
O (0.0077, 0.3112, 0.3637)
O (0.1676, 0.5487, 0.3707)
O (0.1676, 0.9513, 0.8707)
O (0.1784, 0.6365, 0.0613)
O (0.1784, 0.8635, 0.5613)
O (0.1809, 0.1318, 0.5708)
O (0.1809, 0.3682, 0.0708)
O (0.1854, 0.0336, 0.2677)
O (0.1854, 0.4664, 0.7677)
O (0.1896, 0.1958, 0.7661)
O (0.1896, 0.3042, 0.2661)
O (0.1928, 0.6858, 0.8891)
O (0.1928, 0.8142, 0.3891)
O (0.2126, 0.5177, 0.5811)
O (0.2126, 0.9823, 0.0811)
O (0.3661, 0.1701, 0.1928)
O (0.3661, 0.3299, 0.6928)
O (0.3974, 0.7117, 0.5868)
O (0.3974, 0.7883, 0.0868)
O (0.4342, 0.0145, 0.7908)
O (0.4342, 0.4855, 0.2908)
O (0.4497, 0.5704, 0.0698)
O (0.4497, 0.9296, 0.5698)
O (0.4565, 0.6457, 0.8138)
O (0.4565, 0.8543, 0.3138)
O (0.4663, 0.1107, 0.0161)
O (0.4663, 0.3893, 0.5161)
O (0.5337, 0.6107, 0.4839)
O (0.5337, 0.8893, 0.9839)
O (0.5435, 0.1457, 0.6862)
O (0.5435, 0.3543, 0.1862)
O (0.5503, 0.0704, 0.4302)
O (0.5503, 0.4296, 0.9302)
O (0.5658, 0.5145, 0.7092)
O (0.5658, 0.9855, 0.2092)
O (0.6026, 0.2117, 0.9132)
O (0.6026, 0.2883, 0.4132)
O (0.6339, 0.6701, 0.3072)
O (0.6339, 0.8299, 0.8072)
O (0.7874, 0.0177, 0.9189)
O (0.7874, 0.4823, 0.4189)
O (0.8072, 0.1858, 0.6109)
O (0.8072, 0.3142, 0.1109)
O (0.8104, 0.6958, 0.7339)
O (0.8104, 0.8042, 0.2339)
O (0.8146, 0.5336, 0.2323)
O (0.8146, 0.9664, 0.7323)
O (0.8191, 0.6318, 0.9292)
O (0.8191, 0.8682, 0.4292)
O (0.8216, 0.1365, 0.4387)
O (0.8216, 0.3635, 0.9387)
O (0.8324, 0.0487, 0.1293)
O (0.8324, 0.4513, 0.6293)
O (0.9923, 0.6888, 0.6363)
O (0.9923, 0.8112, 0.1363)

=====

It is found that the E_form values, taken in the order of the records, are -2.732 -0.397 -0.356 -0.437 -0.617 -0.496 -0.408 -0.493 -0.071 -2.735 eV/atom.